VASP calculation (GGA-PBE) on an optimized crystal structure of TiO2.

The structure in POSCAR format:
```
TiO2
1.0
-2.452 -3.182 -3.273
4.666 -0.653 -2.861
2.262 -7.237 5.340
O Ti
16 8
Direct
0.536 0.108 0.770
0.817 0.352 0.490
0.464 0.392 0.270
0.817 0.852 0.010
0.536 0.608 0.730
0.964 0.108 0.270
0.683 0.352 0.990
0.183 0.148 0.990
0.683 0.852 0.510
0.036 0.392 0.770
0.464 0.892 0.230
0.317 0.648 0.010
0.317 0.148 0.490
0.036 0.892 0.730
0.964 0.608 0.230
0.183 0.648 0.510
0.138 0.407 0.371
0.862 0.093 0.871
0.362 0.907 0.629
0.138 0.907 0.129
0.362 0.407 0.871
0.862 0.593 0.629
0.638 0.093 0.371
0.638 0.593 0.129
```

total energy	-8.954	eV/atom
corrected total energy (MP2020 scheme)	-9.412	eV/atom
E_form	-3.4814	eV per atom

VASP calculation (GGA-PBE) on an optimized crystal structure of Ti2O.

The structure in POSCAR format:
```
Ti2O
1.0
-0.585 2.583 1.304
-4.566 -0.738 -0.586
-0.625 -3.820 7.288
O Ti
3 6
Direct
0.000 0.707 0.741
0.000 0.000 0.000
0.000 0.293 0.259
0.000 0.749 0.243
0.500 0.265 0.086
0.500 0.746 0.572
0.000 0.251 0.757
0.500 0.254 0.428
0.500 0.735 0.914
```

total energy	-8.670	eV/atom
energy relative to the lowest polymorph listed for this composition	0.15	eV/f.u.
corrected total energy (MP2020 scheme)	-8.899	eV/atom
E_form	-1.9858	eV per atom

VASP calculation (GGA-PBE) on an optimized crystal structure of TiO2.

The structure in POSCAR format:
```
TiO2
1.0
1.210 -5.712 4.360
3.204 -3.739 5.371
-3.185 1.575 3.211
O Ti
6 3
Direct
0.563 0.563 0.181
0.224 0.224 0.300
0.099 0.099 0.689
0.901 0.901 0.311
0.776 0.776 0.700
0.437 0.437 0.819
0.000 0.000 0.000
0.343 0.343 0.520
0.657 0.657 0.480
```

total energy	-8.909	eV/atom
corrected total energy (MP2020 scheme)	-9.367	eV/atom
E_form	-3.4370	eV per atom

VASP calculation (GGA-PBE) on an optimized crystal structure of TiO.

The structure in POSCAR format:
```
TiO
1.0
-0.141 9.683 3.759
-6.740 2.870 -7.665
-8.259 -2.738 6.867
Ti O
50 50
Direct
0.431 0.375 0.014
0.031 0.465 0.358
0.166 0.642 0.148
0.618 0.752 0.419
0.296 0.166 0.040
0.922 0.199 0.416
0.274 0.382 0.233
0.250 0.461 0.500
0.100 0.413 0.030
0.626 0.384 0.811
0.105 0.930 0.327
0.404 0.752 0.632
0.700 0.325 0.484
0.506 0.487 0.368
0.380 0.880 0.868
0.053 0.902 0.069
0.938 0.867 0.541
0.727 0.043 0.538
0.527 0.519 0.610
0.439 0.014 0.627
0.272 0.497 0.838
0.312 0.868 0.139
0.188 0.928 0.659
0.826 0.625 0.097
0.449 0.262 0.511
0.963 0.949 0.793
0.577 0.652 0.864
0.335 0.703 0.366
0.096 0.338 0.659
0.054 0.191 0.903
0.067 0.174 0.177
0.277 0.170 0.751
0.859 0.848 0.222
0.614 0.316 0.178
0.915 0.443 0.821
0.829 0.104 0.076
0.466 0.955 0.360
0.197 0.150 0.494
0.872 0.547 0.556
0.869 0.708 0.778
0.755 0.107 0.815
0.758 0.521 0.316
0.655 0.858 0.717
0.561 0.046 0.102
0.741 0.846 0.965
0.541 0.715 0.191
0.126 0.730 0.871
0.704 0.103 0.307
0.804 0.350 0.003
0.158 0.636 0.652
0.341 0.556 0.660
0.126 0.072 0.028
0.911 0.066 0.922
0.737 0.701 0.262
0.732 0.970 0.168
0.680 0.046 0.964
0.575 0.691 0.690
0.601 0.159 0.462
0.453 0.433 0.196
0.562 0.845 0.882
0.180 0.587 0.974
0.373 0.083 0.467
0.099 0.981 0.518
0.949 0.815 0.919
0.459 0.501 0.885
0.621 0.348 0.981
0.922 0.406 0.649
0.363 0.256 0.888
0.659 0.936 0.390
0.824 0.199 0.564
0.750 0.450 0.156
0.501 0.894 0.187
0.479 0.209 0.098
0.959 0.824 0.372
0.683 0.525 0.491
0.861 0.386 0.408
0.286 0.295 0.612
0.608 0.048 0.704
0.257 0.783 0.749
0.074 0.368 0.204
0.056 0.565 0.511
0.288 0.887 0.321
0.568 0.342 0.644
0.391 0.999 0.017
0.830 0.725 0.606
0.082 0.110 0.345
0.877 0.171 0.240
0.353 0.687 0.168
0.991 0.720 0.139
0.652 0.686 0.032
0.227 0.839 0.982
0.017 0.600 0.774
0.256 0.201 0.207
0.113 0.373 0.843
0.837 0.978 0.668
0.933 0.496 0.003
0.471 0.648 0.481
0.127 0.051 0.782
0.198 0.560 0.314
0.098 0.320 0.472
```

total energy	-8.651	eV/atom
corrected total energy (MP2020 scheme)	-8.994	eV/atom
E_form	-2.5727	eV per atom

VASP calculation (GGA-PBE) on an optimized crystal structure of TiO2.

The structure in POSCAR format:
```
TiO2
1.0
2.982 0.000 0.000
0.000 4.969 0.000
0.000 0.000 9.556
O Ti
8 4
Direct
0.250 0.638 0.268
0.750 0.703 0.531
0.250 0.297 0.469
0.750 0.362 0.732
0.250 0.862 0.768
0.750 0.797 0.031
0.750 0.138 0.232
0.250 0.203 0.969
0.750 0.423 0.362
0.250 0.577 0.638
0.750 0.077 0.862
0.250 0.923 0.138
```

total energy	-8.915	eV/atom
corrected total energy (MP2020 scheme)	-9.373	eV/atom
E_form	-3.4424	eV per atom

VASP calculation (GGA-PBE) on an optimized crystal structure of TiO2.

The structure in POSCAR format:
```
TiO2
1.0
2.974 -5.150 0.000
2.974 5.150 0.000
0.000 0.000 9.068
O Ti
16 8
Direct
0.829 0.658 0.103
0.476 0.952 0.338
0.171 0.342 0.603
0.667 0.333 0.599
0.333 0.667 0.099
0.171 0.829 0.603
0.952 0.476 0.838
0.476 0.524 0.338
0.000 0.000 0.813
0.000 0.000 0.313
0.048 0.524 0.338
0.524 0.048 0.838
0.524 0.476 0.838
0.342 0.171 0.103
0.658 0.829 0.603
0.829 0.171 0.103
0.168 0.832 0.211
0.667 0.333 0.990
0.832 0.168 0.711
0.832 0.664 0.711
0.664 0.832 0.211
0.333 0.667 0.490
0.336 0.168 0.711
0.168 0.336 0.211
```

total energy	-8.863	eV/atom
corrected total energy (MP2020 scheme)	-9.321	eV/atom
E_form	-3.3901	eV per atom

VASP calculation (GGA-PBE) on an optimized crystal structure of Ti3O8.

The structure in POSCAR format:
```
Ti3O8
1.0
3.782 0.000 0.000
0.000 3.782 0.000
0.000 0.000 9.619
Ti O
3 8
Direct
0.000 0.000 0.500
0.500 0.000 0.760
0.000 0.500 0.240
0.500 0.000 0.542
0.000 0.000 0.711
0.000 0.500 0.458
0.000 0.000 0.289
0.500 0.000 0.962
0.500 0.500 0.791
0.000 0.500 0.038
0.500 0.500 0.209
```

total energy	-7.745	eV/atom
corrected total energy (MP2020 scheme)	-8.244	eV/atom
E_form	-2.4926	eV per atom

VASP calculation (GGA-PBE) on an optimized crystal structure of Ti2O.

The structure in POSCAR format:
```
Ti2O
1.0
-4.481 -1.479 -10.544
3.071 -10.515 -0.813
-9.228 -4.217 4.452
O Ti
34 68
Direct
0.164 0.789 0.002
0.728 0.003 0.910
0.282 0.798 0.458
0.000 0.310 0.125
0.823 0.773 0.793
0.672 0.973 0.148
0.797 0.257 0.987
0.330 0.972 0.845
0.752 0.093 0.687
0.733 0.645 0.300
0.826 0.302 0.262
0.540 0.243 0.441
0.123 0.893 0.260
0.835 0.303 0.726
0.689 0.736 0.617
0.645 0.437 0.800
0.142 0.236 0.634
0.554 0.316 0.633
0.454 0.916 0.030
0.224 0.547 0.191
0.284 0.568 0.631
0.780 0.110 0.443
0.371 0.064 0.300
0.484 0.031 0.545
0.364 0.544 0.388
0.195 0.270 0.035
0.543 0.439 0.125
0.727 0.497 0.011
0.912 0.579 0.921
0.015 0.173 0.458
0.953 0.500 0.709
0.670 0.451 0.449
0.963 0.883 0.916
0.508 0.662 0.544
0.174 0.737 0.187
0.491 0.010 0.178
0.749 0.679 0.931
0.244 0.127 0.760
0.011 0.307 0.727
0.008 0.710 0.988
0.407 0.520 0.206
0.242 0.385 0.635
0.034 0.039 0.897
0.000 0.296 0.305
0.046 0.553 0.281
0.324 0.982 0.511
0.960 0.864 0.733
0.767 0.054 0.271
0.047 0.271 0.956
0.956 0.698 0.447
0.842 0.927 0.490
0.364 0.738 0.626
0.903 0.475 0.081
0.448 0.953 0.714
0.066 0.499 0.867
0.440 0.754 0.129
0.675 0.826 0.279
0.266 0.630 0.996
0.120 0.844 0.537
0.520 0.314 0.806
0.472 0.284 0.067
0.819 0.445 0.844
0.702 0.285 0.389
0.954 0.873 0.264
0.551 0.501 0.946
0.252 0.408 0.353
0.676 0.634 0.474
0.465 0.730 0.871
0.596 0.612 0.712
0.215 0.851 0.789
0.117 0.636 0.680
0.423 0.223 0.324
0.640 0.099 0.557
0.197 0.203 0.468
0.064 0.038 0.354
0.275 0.923 0.020
0.846 0.926 0.046
0.493 0.430 0.465
0.437 0.713 0.372
0.295 0.311 0.895
0.067 0.066 0.626
0.000 0.473 0.524
0.699 0.338 0.129
0.439 0.089 0.925
0.860 0.691 0.183
0.426 0.209 0.592
0.276 0.149 0.144
0.635 0.589 0.168
0.286 0.917 0.288
0.706 0.914 0.755
0.154 0.420 0.109
0.865 0.197 0.574
0.349 0.536 0.801
0.212 0.622 0.465
0.705 0.395 0.625
0.910 0.150 0.110
0.822 0.478 0.340
0.574 0.860 0.533
0.825 0.147 0.843
0.622 0.887 0.000
0.846 0.652 0.664
0.669 0.136 0.034
```

total energy	-8.396	eV/atom
energy relative to the lowest polymorph listed for this composition	0.97	eV/f.u.
corrected total energy (MP2020 scheme)	-8.625	eV/atom
E_form	-1.7120	eV per atom